TlCl3 after structural relaxation. Source: the Materials Project, functional GGA-PBE.

Lattice parameters (Å, degrees): 6.7614 6.7614 6.9101 80.78 80.78 119.95
Closest atoms and distances in Å follow each position.
Atoms (fractional coordinates):
Tl 0.8335 0.1665 0.0000  6 Cl 2.65
Tl 0.1665 0.8335 0.0000  6 Cl 2.65
Cl 0.4249 0.0673 0.2298  2 Tl 2.65
Cl 0.5751 0.9327 0.7702  2 Tl 2.65
Cl 0.9327 0.5751 0.7702  2 Tl 2.65
Cl 0.0673 0.4249 0.2298  2 Tl 2.65
Cl 0.7832 0.7832 0.2321  2 Tl 2.65
Cl 0.2168 0.2168 0.7679  2 Tl 2.65

Computed properties:
**Uncorrected energy**: -2.64 eV/atom
**Mass density**: 3.98 g cm⁻³
**Space group**: C2/m, No. 12
**Calculated volume**: 259 Å³ per cell
**Calculated formation energy**: -4.507 eV per formula unit

---

HfCoSi after structural relaxation. Source: the Materials Project, functional GGA-PBE.

Lattice parameters (Å, degrees): 3.8271 6.3834 7.0987 90.00 90.00 90.00
Closest atoms and distances in Å follow each position.
Atoms (fractional coordinates):
Hf 0.2500 0.0109 0.3094  5 Si 2.73-2.74, 6 Co 2.77-3.04
Hf 0.2500 0.5109 0.1906  5 Si 2.73-2.74, 6 Co 2.77-3.04
Hf 0.7500 0.9891 0.6906  5 Si 2.73-2.74, 6 Co 2.77-3.04
Hf 0.7500 0.4891 0.8094  5 Si 2.73-2.74, 6 Co 2.77-3.04
Co 0.2500 0.1466 0.9339  4 Si 2.33-2.46
Co 0.2500 0.6466 0.5661  4 Si 2.33-2.46
Co 0.7500 0.8534 0.0661  4 Si 2.33-2.46
Co 0.7500 0.3534 0.4339  4 Si 2.33-2.46
Si 0.2500 0.2808 0.6094  4 Co 2.33-2.46
Si 0.2500 0.7808 0.8906  4 Co 2.33-2.46
Si 0.7500 0.7192 0.3906  4 Co 2.33-2.46
Si 0.7500 0.2192 0.1094  4 Co 2.33-2.46

Computed properties:
**Uncorrected energy**: -8.35 eV/atom
**Mass density**: 10.17 g cm⁻³
**Space group**: Pnma, No. 62
**Calculated volume**: 173 Å³ per cell
**Calculated formation energy**: -2.493 eV per formula unit

---

Among the records above, which one has the highest mass density? HfCoSi

---

What is the calculated volume in the second record? 173 Å³ per cell

---

Which of these has the lowest uncorrected energy? HfCoSi